Entry 1:
DFT (PBE) results for Na10Ta4Ga4Si9S3O48 after structural relaxation.

Geometry as CIF:
```
data_Na10Ta4Ga4Si9S3O48
_chemical_formula_sum 'Na30 Ta12 Ga12 Si27 S9 O144'
_space_group_name_H-M_alt 'P 1'
_space_group_IT_number 1
_cell_length_a 17.852
_cell_length_b 8.892
_cell_length_c 22.338
_cell_angle_alpha 89.98
_cell_angle_beta 90.69
_cell_angle_gamma 119.77
loop_
_space_group_symop_operation_xyz
'x,y,z'
loop_
_atom_site_label
_atom_site_fract_x
_atom_site_fract_y
_atom_site_fract_z
_atom_site_occupancy
Na1 0.187 0.365 0.244 1
Na2 0.687 0.366 0.244 1
Na3 0.187 0.009 0.743 1
Na4 0.685 0.005 0.744 1
Na5 0.652 0.341 0.580 1
Na6 0.021 0.703 0.577 1
Na7 0.519 0.693 0.580 1
Na8 0.327 0.969 0.584 1
Na9 0.152 0.963 0.080 1
Na10 0.652 0.963 0.080 1
Na11 0.328 0.690 0.083 1
Na12 0.828 0.690 0.083 1
Na13 0.020 0.346 0.080 1
Na14 0.520 0.346 0.080 1
Na15 0.488 0.673 0.914 1
Na16 0.988 0.673 0.915 1
Na17 0.352 0.668 0.411 1
Na18 0.853 0.674 0.410 1
Na19 0.012 0.019 0.493 1
Na20 0.510 0.011 0.492 1
Na21 0.006 0.018 0.992 1
Na22 0.506 0.018 0.992 1
Na23 0.340 0.332 0.827 1
Na24 0.840 0.330 0.828 1
Na25 0.343 0.338 0.328 1
Na26 0.844 0.336 0.326 1
Na27 0.168 0.672 0.163 1
Na28 0.668 0.672 0.162 1
Na29 0.173 0.660 0.662 1
Na30 0.673 0.673 0.660 1
Ta1 0.996 0.989 0.646 1
Ta2 0.494 0.986 0.644 1
Ta3 0.996 0.001 0.146 1
Ta4 0.496 0.001 0.146 1
Ta5 0.333 0.323 0.979 1
Ta6 0.833 0.324 0.979 1
Ta7 0.333 0.337 0.480 1
Ta8 0.830 0.339 0.477 1
Ta9 0.161 0.650 0.312 1
Ta10 0.662 0.653 0.312 1
Ta11 0.163 0.674 0.812 1
Ta12 0.663 0.675 0.812 1
Ga1 0.001 0.001 0.353 1
Ga2 0.501 0.999 0.352 1
Ga3 0.000 0.007 0.852 1
Ga4 0.500 0.006 0.852 1
Ga5 0.342 0.338 0.684 1
Ga6 0.835 0.333 0.686 1
Ga7 0.343 0.348 0.184 1
Ga8 0.843 0.348 0.184 1
Ga9 0.159 0.662 0.020 1
Ga10 0.659 0.662 0.020 1
Ga11 0.165 0.663 0.517 1
Ga12 0.660 0.660 0.522 1
Si1 0.356 0.708 0.253 1
Si2 0.856 0.708 0.254 1
Si3 0.991 0.280 0.252 1
Si4 0.492 0.280 0.253 1
Si5 0.992 0.701 0.753 1
Si6 0.491 0.702 0.753 1
Si7 0.357 0.006 0.752 1
Si8 0.857 0.006 0.753 1
Si9 0.479 0.336 0.584 1
Si10 0.189 0.046 0.585 1
Si11 0.693 0.042 0.586 1
Si12 0.324 0.609 0.586 1
Si13 0.830 0.620 0.585 1
Si14 0.479 0.622 0.083 1
Si15 0.979 0.622 0.083 1
Si16 0.329 0.042 0.086 1
Si17 0.829 0.042 0.086 1
Si18 0.191 0.337 0.085 1
Si19 0.691 0.337 0.085 1
Si20 0.023 0.369 0.918 1
Si21 0.523 0.369 0.918 1
Si22 0.164 0.960 0.918 1
Si23 0.664 0.960 0.918 1
Si24 0.161 0.366 0.419 1
Si25 0.659 0.368 0.419 1
Si26 0.024 0.673 0.419 1
Si27 0.523 0.673 0.419 1
S1 0.145 0.998 0.251 1
S2 0.645 0.999 0.251 1
S3 0.144 0.290 0.751 1
S4 0.645 0.292 0.751 1
S5 0.978 0.331 0.584 1
S6 0.310 0.666 0.918 1
S7 0.810 0.667 0.918 1
S8 0.311 0.958 0.417 1
S9 0.810 0.955 0.418 1
O1 0.104 0.023 0.304 1
O2 0.604 0.023 0.304 1
O3 0.413 0.798 0.313 1
O4 0.913 0.798 0.313 1
O5 0.489 0.167 0.309 1
O6 0.988 0.167 0.309 1
O7 0.105 0.182 0.804 1
O8 0.605 0.182 0.803 1
O9 0.489 0.802 0.812 1
O10 0.986 0.798 0.812 1
O11 0.418 0.032 0.809 1
O12 0.917 0.033 0.809 1
O13 0.402 0.976 0.691 1
O14 0.905 0.979 0.692 1
O15 0.089 0.210 0.696 1
O16 0.592 0.214 0.695 1
O17 0.016 0.834 0.694 1
O18 0.517 0.834 0.694 1
O19 0.404 0.831 0.193 1
O20 0.904 0.831 0.193 1
O21 0.017 0.202 0.192 1
O22 0.517 0.202 0.192 1
O23 0.091 0.969 0.195 1
O24 0.591 0.969 0.195 1
O25 0.439 0.376 0.641 1
O26 0.939 0.361 0.637 1
O27 0.249 0.126 0.645 1
O28 0.747 0.132 0.647 1
O29 0.313 0.495 0.643 1
O30 0.817 0.494 0.640 1
O31 0.438 0.499 0.139 1
O32 0.938 0.499 0.139 1
O33 0.309 0.130 0.141 1
O34 0.809 0.130 0.141 1
O35 0.249 0.370 0.146 1
O36 0.749 0.370 0.146 1
O37 0.237 0.299 0.028 1
O38 0.737 0.299 0.028 1
O39 0.417 0.542 0.022 1
O40 0.917 0.542 0.022 1
O41 0.353 0.171 0.026 1
O42 0.853 0.171 0.026 1
O43 0.237 0.168 0.526 1
O44 0.741 0.174 0.528 1
O45 0.349 0.535 0.525 1
O46 0.853 0.537 0.525 1
O47 0.414 0.293 0.525 1
O48 0.924 0.303 0.529 1
O49 0.271 0.687 0.973 1
O50 0.771 0.687 0.973 1
O51 0.077 0.457 0.979 1
O52 0.577 0.457 0.979 1
O53 0.150 0.840 0.976 1
O54 0.650 0.840 0.977 1
O55 0.273 0.857 0.472 1
O56 0.770 0.848 0.471 1
O57 0.153 0.470 0.475 1
O58 0.654 0.465 0.478 1
O59 0.079 0.697 0.480 1
O60 0.579 0.700 0.479 1
O61 0.074 0.648 0.361 1
O62 0.574 0.648 0.361 1
O63 0.256 0.870 0.363 1
O64 0.757 0.878 0.363 1
O65 0.182 0.497 0.358 1
O66 0.683 0.500 0.359 1
O67 0.073 0.504 0.861 1
O68 0.573 0.504 0.861 1
O69 0.181 0.867 0.858 1
O70 0.681 0.867 0.858 1
O71 0.256 0.643 0.864 1
O72 0.756 0.644 0.864 1
O73 0.004 0.831 0.412 1
O74 0.504 0.834 0.411 1
O75 0.397 0.974 0.412 1
O76 0.896 0.974 0.413 1
O77 0.078 0.177 0.409 1
O78 0.579 0.177 0.409 1
O79 0.010 0.178 0.910 1
O80 0.510 0.178 0.910 1
O81 0.077 0.970 0.909 1
O82 0.577 0.971 0.910 1
O83 0.398 0.816 0.914 1
O84 0.898 0.816 0.914 1
O85 0.488 0.159 0.590 1
O86 0.987 0.175 0.589 1
O87 0.092 0.028 0.591 1
O88 0.596 0.031 0.591 1
O89 0.417 0.805 0.590 1
O90 0.921 0.811 0.590 1
O91 0.488 0.817 0.091 1
O92 0.988 0.817 0.090 1
O93 0.419 0.029 0.091 1
O94 0.919 0.029 0.091 1
O95 0.095 0.159 0.091 1
O96 0.595 0.159 0.091 1
O97 0.336 0.162 0.745 1
O98 0.837 0.164 0.744 1
O99 0.229 0.307 0.745 1
O100 0.731 0.309 0.746 1
O101 0.409 0.513 0.745 1
O102 0.912 0.511 0.742 1
O103 0.337 0.510 0.246 1
O104 0.837 0.511 0.246 1
O105 0.410 0.304 0.244 1
O106 0.909 0.305 0.244 1
O107 0.230 0.152 0.246 1
O108 0.730 0.152 0.246 1
O109 0.318 0.506 0.920 1
O110 0.818 0.506 0.920 1
O111 0.429 0.370 0.922 1
O112 0.929 0.370 0.922 1
O113 0.252 0.151 0.922 1
O114 0.752 0.152 0.922 1
O115 0.318 0.131 0.420 1
O116 0.819 0.132 0.423 1
O117 0.253 0.360 0.422 1
O118 0.752 0.360 0.423 1
O119 0.426 0.494 0.423 1
O120 0.927 0.491 0.424 1
O121 0.178 0.504 0.077 1
O122 0.679 0.504 0.077 1
O123 0.076 0.652 0.078 1
O124 0.576 0.651 0.078 1
O125 0.250 0.847 0.075 1
O126 0.750 0.847 0.075 1
O127 0.174 0.849 0.577 1
O128 0.675 0.848 0.578 1
O129 0.249 0.658 0.575 1
O130 0.747 0.643 0.575 1
O131 0.064 0.487 0.579 1
O132 0.575 0.500 0.578 1
O133 0.153 0.839 0.256 1
O134 0.653 0.839 0.256 1
O135 0.259 0.695 0.257 1
O136 0.759 0.696 0.258 1
O137 0.084 0.476 0.257 1
O138 0.585 0.476 0.257 1
O139 0.152 0.465 0.756 1
O140 0.654 0.467 0.757 1
O141 0.085 0.693 0.756 1
O142 0.585 0.693 0.757 1
O143 0.259 0.823 0.758 1
O144 0.760 0.825 0.757 1
```

## Properties
The calculation puts the total magnetization at 0.00 μB per cell. Its space group is P1 (1). As for the corrected total energy (MP2020 scheme): -1745.651 eV per cell. The value obtained for the calculated density is 3.8 g/cm³. As for the calculated formation energy: -2697 meV/atom.



Entry 2:
DFT (PBE) results for Pb4IF7 after structural relaxation.

Geometry as CIF:
```
data_Pb4IF7
_chemical_formula_sum 'Pb8 I2 F14'
_space_group_name_H-M_alt 'P 1'
_space_group_IT_number 1
_cell_length_a 13.084
_cell_length_b 13.084
_cell_length_c 6.079
_cell_angle_alpha 90.00
_cell_angle_beta 90.00
_cell_angle_gamma 152.74
loop_
_space_group_symop_operation_xyz
'x,y,z'
loop_
_atom_site_label
_atom_site_fract_x
_atom_site_fract_y
_atom_site_fract_z
_atom_site_occupancy
Pb1 0.825 0.175 0.250 1
Pb2 0.175 0.825 0.750 1
Pb3 0.453 0.547 0.250 1
Pb4 0.547 0.453 0.750 1
Pb5 0.653 0.347 0.250 1
Pb6 0.347 0.653 0.750 1
Pb7 0.059 0.941 0.250 1
Pb8 0.941 0.059 0.750 1
I1 0.250 0.750 0.250 1
I2 0.750 0.250 0.750 1
F1 0.353 0.110 0.519 1
F2 0.647 0.890 0.019 1
F3 0.110 0.353 0.481 1
F4 0.890 0.647 0.981 1
F5 0.647 0.890 0.481 1
F6 0.353 0.110 0.981 1
F7 0.890 0.647 0.519 1
F8 0.110 0.353 0.019 1
F9 0.227 0.227 0.500 1
F10 0.773 0.773 0.000 1
F11 0.437 0.563 0.750 1
F12 0.563 0.437 0.250 1
F13 0.227 0.227 0.000 1
F14 0.773 0.773 0.500 1
```

## Properties
The calculation puts the total magnetization at 0.00 μB per cell. Its space group is Cmcm (63). As for the corrected total energy (MP2020 scheme): -117.134 eV per cell. The value obtained for the calculated density is 7.6 g/cm³. As for the calculated formation energy: -2399 meV/atom.



Entry 3:
DFT (PBE) results for Na8Mg3TiSi3S3O24 after structural relaxation.

Geometry as CIF:
```
data_Na8Mg3TiSi3S3O24
_chemical_formula_sum 'Na24 Mg9 Ti3 Si9 S9 O72'
_space_group_name_H-M_alt 'P 1'
_space_group_IT_number 1
_cell_length_a 9.062
_cell_length_b 9.073
_cell_length_c 22.140
_cell_angle_alpha 89.84
_cell_angle_beta 89.59
_cell_angle_gamma 119.83
loop_
_space_group_symop_operation_xyz
'x,y,z'
loop_
_atom_site_label
_atom_site_fract_x
_atom_site_fract_y
_atom_site_fract_z
_atom_site_occupancy
Na1 0.630 0.996 0.259 1
Na2 0.370 0.368 0.245 1
Na3 0.001 0.626 0.253 1
Na4 0.641 0.647 0.736 1
Na5 0.986 0.347 0.751 1
Na6 0.383 0.012 0.740 1
Na7 0.313 0.334 0.584 1
Na8 0.042 0.715 0.573 1
Na9 0.652 0.948 0.582 1
Na10 0.285 0.957 0.075 1
Na11 0.664 0.686 0.085 1
Na12 0.052 0.349 0.079 1
Na13 0.987 0.674 0.920 1
Na14 0.710 0.045 0.908 1
Na15 0.314 0.289 0.921 1
Na16 0.963 0.304 0.417 1
Na17 0.329 0.006 0.424 1
Na18 0.710 0.688 0.427 1
Na19 0.990 0.981 0.500 1
Na20 0.018 0.011 0.000 1
Na21 0.668 0.316 0.832 1
Na22 0.678 0.333 0.341 1
Na23 0.321 0.654 0.159 1
Na24 0.353 0.683 0.658 1
Mg1 0.996 0.993 0.355 1
Mg2 0.000 0.010 0.852 1
Mg3 0.983 0.984 0.643 1
Mg4 0.008 0.999 0.143 1
Mg5 0.659 0.322 0.680 1
Mg6 0.667 0.340 0.178 1
Mg7 0.316 0.658 0.018 1
Mg8 0.344 0.686 0.517 1
Mg9 0.331 0.680 0.329 1
Ti1 0.668 0.339 0.983 1
Ti2 0.662 0.333 0.484 1
Ti3 0.333 0.685 0.818 1
Si1 0.705 0.000 0.751 1
Si2 0.367 0.036 0.586 1
Si3 0.662 0.623 0.586 1
Si4 0.962 0.628 0.087 1
Si5 0.373 0.338 0.086 1
Si6 0.039 0.372 0.918 1
Si7 0.334 0.968 0.921 1
Si8 0.635 0.970 0.416 1
Si9 0.033 0.662 0.416 1
S1 0.295 0.000 0.249 1
S2 0.705 0.705 0.250 1
S3 0.001 0.290 0.249 1
S4 0.295 0.298 0.751 1
S5 0.003 0.707 0.752 1
S6 0.959 0.334 0.584 1
S7 0.668 0.044 0.084 1
S8 0.623 0.665 0.917 1
S9 0.334 0.373 0.415 1
O1 0.214 0.025 0.303 1
O2 0.809 0.791 0.303 1
O3 0.986 0.189 0.303 1
O4 0.214 0.191 0.806 1
O5 0.982 0.787 0.807 1
O6 0.813 0.020 0.812 1
O7 0.783 0.958 0.692 1
O8 0.191 0.219 0.697 1
O9 0.032 0.813 0.697 1
O10 0.785 0.810 0.195 1
O11 0.016 0.205 0.194 1
O12 0.192 0.982 0.195 1
O13 0.883 0.362 0.639 1
O14 0.483 0.117 0.645 1
O15 0.644 0.515 0.647 1
O16 0.880 0.510 0.146 1
O17 0.639 0.119 0.139 1
O18 0.481 0.359 0.146 1
O19 0.479 0.310 0.026 1
O20 0.832 0.518 0.027 1
O21 0.694 0.153 0.030 1
O22 0.477 0.165 0.527 1
O23 0.685 0.518 0.527 1
O24 0.849 0.309 0.530 1
O25 0.548 0.694 0.972 1
O26 0.156 0.453 0.976 1
O27 0.311 0.851 0.978 1
O28 0.551 0.842 0.473 1
O29 0.305 0.449 0.469 1
O30 0.152 0.687 0.474 1
O31 0.101 0.615 0.354 1
O32 0.520 0.896 0.355 1
O33 0.362 0.479 0.360 1
O34 0.141 0.503 0.858 1
O35 0.364 0.868 0.860 1
O36 0.515 0.641 0.863 1
O37 0.017 0.834 0.410 1
O38 0.830 0.006 0.409 1
O39 0.187 0.201 0.407 1
O40 0.010 0.182 0.912 1
O41 0.164 0.981 0.909 1
O42 0.798 0.810 0.910 1
O43 0.972 0.178 0.588 1
O44 0.185 0.035 0.587 1
O45 0.834 0.810 0.582 1
O46 0.962 0.809 0.085 1
O47 0.824 0.032 0.089 1
O48 0.185 0.167 0.085 1
O49 0.682 0.169 0.748 1
O50 0.469 0.321 0.748 1
O51 0.855 0.534 0.747 1
O52 0.690 0.533 0.247 1
O53 0.843 0.305 0.247 1
O54 0.471 0.152 0.245 1
O55 0.633 0.505 0.920 1
O56 0.849 0.363 0.922 1
O57 0.510 0.156 0.922 1
O58 0.647 0.159 0.425 1
O59 0.492 0.359 0.420 1
O60 0.837 0.493 0.425 1
O61 0.367 0.513 0.078 1
O62 0.153 0.656 0.081 1
O63 0.519 0.872 0.078 1
O64 0.342 0.847 0.580 1
O65 0.487 0.631 0.578 1
O66 0.130 0.483 0.576 1
O67 0.310 0.843 0.252 1
O68 0.529 0.683 0.254 1
O69 0.156 0.462 0.250 1
O70 0.310 0.470 0.757 1
O71 0.162 0.691 0.756 1
O72 0.505 0.819 0.760 1
```

## Properties
The calculation puts the total magnetization at 0.00 μB per cell. Its space group is P1 (1). As for the corrected total energy (MP2020 scheme): -836.408 eV per cell. The value obtained for the calculated density is 2.7 g/cm³. As for the calculated formation energy: -2574 meV/atom.



Entry 4:
DFT (PBE) results for Ga9Ir2 after structural relaxation.

Geometry as CIF:
```
data_Ga9Ir2
_chemical_formula_sum 'Ga18 Ir4'
_space_group_name_H-M_alt 'P 1'
_space_group_IT_number 1
_cell_length_a 6.433
_cell_length_b 6.502
_cell_length_c 9.008
_cell_angle_alpha 86.35
_cell_angle_beta 90.00
_cell_angle_gamma 90.00
loop_
_space_group_symop_operation_xyz
'x,y,z'
loop_
_atom_site_label
_atom_site_fract_x
_atom_site_fract_y
_atom_site_fract_z
_atom_site_occupancy
Ga1 0.500 0.000 0.500 1
Ga2 0.000 0.000 0.000 1
Ga3 0.516 0.399 0.233 1
Ga4 0.016 0.601 0.267 1
Ga5 0.484 0.601 0.767 1
Ga6 0.984 0.399 0.733 1
Ga7 0.219 0.102 0.274 1
Ga8 0.719 0.898 0.226 1
Ga9 0.781 0.898 0.726 1
Ga10 0.281 0.102 0.774 1
Ga11 0.299 0.389 0.500 1
Ga12 0.799 0.611 0.000 1
Ga13 0.701 0.611 0.500 1
Ga14 0.201 0.389 0.000 1
Ga15 0.899 0.213 0.458 1
Ga16 0.399 0.787 0.042 1
Ga17 0.101 0.787 0.542 1
Ga18 0.601 0.213 0.958 1
Ir1 0.876 0.261 0.167 1
Ir2 0.376 0.739 0.333 1
Ir3 0.124 0.739 0.833 1
Ir4 0.624 0.261 0.667 1
```

## Properties
Its space group is P2_1/c (14). The value obtained for the calculated density is 8.9 g/cm³. As for the calculated formation energy: -309 meV/atom.



Entry 5:
DFT (PBE) results for Sr3AsP after structural relaxation.

Geometry as CIF:
```
data_Sr3AsP
_chemical_formula_sum 'Sr3 As1 P1'
_space_group_name_H-M_alt 'P 1'
_space_group_IT_number 1
_cell_length_a 5.790
_cell_length_b 5.790
_cell_length_c 5.790
_cell_angle_alpha 90.00
_cell_angle_beta 90.00
_cell_angle_gamma 90.00
loop_
_space_group_symop_operation_xyz
'x,y,z'
loop_
_atom_site_label
_atom_site_fract_x
_atom_site_fract_y
_atom_site_fract_z
_atom_site_occupancy
Sr1 0.000 0.500 0.500 1
Sr2 0.500 0.000 0.500 1
Sr3 0.500 0.500 0.000 1
As1 0.500 0.500 0.500 1
P1 0.000 0.000 0.000 1
```

## Properties
The calculation puts the total magnetization at 0.02 μB per cell. Its space group is Pm-3m (221). The value obtained for the calculated density is 3.2 g/cm³. As for the calculated formation energy: -575 meV/atom. The calculation puts the distance to the lowest polymorph of the same formula at 202 meV/atom.



Question: calculated formation energy of number 2 (Pb4IF7)?
Answer: -2399 meV/atom



Question: Which value of calculated density does entry 1 give?
Answer: 3.8 g/cm³